[1]
First-principles (r2SCAN) data for a relaxed structure of PrAl8Fe2, as listed in the Materials Project.

The space group is Pbam (No. 55) and the conventional cell measures 12.4603, 14.2801 and 4.0397 Å, with angles of 90.00, 90.00 and 90.00 degrees. The inequivalent atoms are Pr at (0.1590, 0.1817, 0.0000), Al at (0.0000, 0.0000, 0.0000), Al at (0.0000, 0.5000, 0.5000), Al at (0.0272, 0.8674, 0.5000), Al at (0.0470, 0.3214, 0.5000), Al at (0.0935, 0.7450, 0.0000), Al at (0.1582, 0.6197, 0.5000), Al at (0.1672, 0.0059, 0.5000), Al at (0.1678, 0.4537, 0.0000), Al at (0.2332, 0.8283, 0.5000), Fe at (0.0315, 0.5865, 0.0000) and Fe at (0.1481, 0.9013, 0.0000).

The calculation puts the volume at 718.8 Å³/cell. The formation energy comes out at -0.340 eV per atom.

[2]
First-principles (r2SCAN) data for a relaxed structure of ScAl8Fe4, as listed in the Materials Project.

The space group is I4/mmm (No. 139) and the conventional cell measures 8.6058, 8.6058 and 4.9648 Å, with angles of 90.00, 90.00 and 90.00 degrees. The inequivalent atoms are Sc at (0.0000, 0.0000, 0.0000), Al at (0.0000, 0.2183, 0.5000), Al at (0.0000, 0.3376, 0.0000) and Fe at (0.2500, 0.2500, 0.2500).

The calculation puts the volume at 367.7 Å³/cell. The formation energy comes out at -0.375 eV per atom.

[3]
First-principles (r2SCAN) data for a relaxed structure of AlFe2Si, as listed in the Materials Project.

The space group is Fm-3m (No. 225) and the conventional cell measures 5.5483, 5.5483 and 5.5483 Å, with angles of 90.00, 90.00 and 90.00 degrees. The inequivalent atoms are Al at (0.0000, 0.0000, 0.0000), Fe at (0.2500, 0.2500, 0.2500) and Si at (0.0000, 0.0000, 0.5000).

The calculation puts the volume at 170.8 Å³/cell. The formation energy comes out at -0.255 eV per atom.